This record from the Materials Project describes a relaxed structure of Tm2Te4O11. The functional is r2SCAN.

Results
- Energy of formation from the pure elements: -2054 meV per atom
- Volume: 477 Å³/cell
- E_tot: -16.031 eV per atom

a = 6.6314 Å, b = 6.6314 Å, c = 15.9796 Å
α = 104.58°, β = 104.58°, γ = 44.89°
Closest atoms and distances in Å follow each position.
Atoms (fractional coordinates):
Tm  0.1304  0.6313  0.9638  6 O 2.20-2.40
Tm  0.3687  0.8696  0.5362  6 O 2.20-2.40
Tm  0.6313  0.1304  0.4638  6 O 2.20-2.40
Tm  0.8696  0.3687  0.0362  6 O 2.20-2.40
Te  0.0912  0.6552  0.6259  3 O 1.87-1.91
Te  0.0959  0.6591  0.3019  3 O 1.84-2.01
Te  0.3409  0.9041  0.1981  3 O 1.84-2.01
Te  0.3448  0.9088  0.8741  3 O 1.87-1.91
Te  0.6552  0.0912  0.1259  3 O 1.87-1.91
Te  0.6591  0.0959  0.8019  3 O 1.84-2.01
Te  0.9041  0.3409  0.6981  3 O 1.84-2.01
Te  0.9088  0.3448  0.3741  3 O 1.87-1.91
O  0.0536  0.8993  0.4057  1 Te 1.91
O  0.1007  0.9464  0.0943  1 Te 1.91
O  0.1607  0.2549  0.9475  1 Te 1.88
O  0.1839  0.3090  0.6262  1 Te 1.91
O  0.2549  0.1607  0.4475  1 Te 1.88
O  0.2948  0.4110  0.8343  1 Te 1.84
O  0.3090  0.1839  0.1262  1 Te 1.91
O  0.3249  0.5354  0.5441  1 Te 1.87
O  0.3490  0.6510  0.2500  2 Te 2.01
O  0.4110  0.2948  0.3343  1 Te 1.84
O  0.4646  0.6751  0.9559  1 Te 1.87
O  0.5354  0.3249  0.0441  1 Te 1.87
O  0.5890  0.7052  0.6657  1 Te 1.84
O  0.6510  0.3490  0.7500  2 Te 2.01
O  0.6751  0.4646  0.4559  1 Te 1.87
O  0.6910  0.8161  0.8738  1 Te 1.91
O  0.7052  0.5890  0.1657  1 Te 1.84
O  0.7451  0.8393  0.5525  1 Te 1.88
O  0.8161  0.6910  0.3738  1 Te 1.91
O  0.8393  0.7451  0.0525  1 Te 1.88
O  0.8993  0.0536  0.9057  1 Te 1.91
O  0.9464  0.1007  0.5943  1 Te 1.91